Entry 1:
# TbAsO4 | Materials Project | GGA-PBE | optimized geometry
data_TbAsO4
_chemical_formula_sum 'Tb4 As4 O16'
_space_group_name_H-M_alt 'I 41/a m d'
_space_group_IT_number 141
_cell_length_a 7.1840
_cell_length_b 7.1840
_cell_length_c 6.3801
_cell_angle_alpha 90.00
_cell_angle_beta 90.00
_cell_angle_gamma 90.00
loop_
_space_group_symop_operation_xyz
'x,y,z'
'-x,-y,-z'
'-y+1/4,x+3/4,z+1/4'
'y+1/4,-x+3/4,-z+1/4'
'-x+1/2,-y,z+1/2'
'x+1/2,y,-z+1/2'
'y+1/4,-x+1/4,z+3/4'
'-y+1/4,x+1/4,-z+3/4'
'x,-y,-z'
'-x,y,z'
'-y+1/4,-x+1/4,-z+3/4'
'y+1/4,x+1/4,z+3/4'
'-x+1/2,y,-z+1/2'
'x+1/2,-y,z+1/2'
'y+1/4,x+3/4,-z+1/4'
'-y+1/4,-x+3/4,z+1/4'
'x+1/2,y+1/2,z+1/2'
'-x+1/2,-y+1/2,-z+1/2'
'-y+3/4,x+1/4,z+3/4'
'y+3/4,-x+1/4,-z+3/4'
'-x,-y+1/2,z'
'x,y+1/2,-z'
'y+3/4,-x+3/4,z+1/4'
'-y+3/4,x+3/4,-z+1/4'
'x+1/2,-y+1/2,-z+1/2'
'-x+1/2,y+1/2,z+1/2'
'-y+3/4,-x+3/4,-z+1/4'
'y+3/4,x+3/4,z+1/4'
'-x,y+1/2,-z'
'x,-y+1/2,z'
'y+3/4,x+1/4,-z+3/4'
'-y+3/4,-x+1/4,z+3/4'
loop_
_atom_site_label
_atom_site_type_symbol
_atom_site_fract_x
_atom_site_fract_y
_atom_site_fract_z
Tb1 Tb 0.0000 0.2500 0.3750
As1 As 0.0000 0.2500 0.8750
O1 O 0.0000 0.0690 0.6986
# **Total energy**: -173.67 eV/cell
# **Crystal system**: tetragonal

---

Entry 2:
# NaHoO2 | Materials Project | GGA-PBE | optimized geometry
data_NaHoO2
_chemical_formula_sum 'Na4 Ho4 O8'
_space_group_name_H-M_alt 'I 41/a m d'
_space_group_IT_number 141
_cell_length_a 4.6096
_cell_length_b 4.6096
_cell_length_c 10.3269
_cell_angle_alpha 90.00
_cell_angle_beta 90.00
_cell_angle_gamma 90.00
loop_
_space_group_symop_operation_xyz
'x,y,z'
'-x,-y,-z'
'-y+1/4,x+3/4,z+1/4'
'y+1/4,-x+3/4,-z+1/4'
'-x+1/2,-y,z+1/2'
'x+1/2,y,-z+1/2'
'y+1/4,-x+1/4,z+3/4'
'-y+1/4,x+1/4,-z+3/4'
'x,-y,-z'
'-x,y,z'
'-y+1/4,-x+1/4,-z+3/4'
'y+1/4,x+1/4,z+3/4'
'-x+1/2,y,-z+1/2'
'x+1/2,-y,z+1/2'
'y+1/4,x+3/4,-z+1/4'
'-y+1/4,-x+3/4,z+1/4'
'x+1/2,y+1/2,z+1/2'
'-x+1/2,-y+1/2,-z+1/2'
'-y+3/4,x+1/4,z+3/4'
'y+3/4,-x+1/4,-z+3/4'
'-x,-y+1/2,z'
'x,y+1/2,-z'
'y+3/4,-x+3/4,z+1/4'
'-y+3/4,x+3/4,-z+1/4'
'x+1/2,-y+1/2,-z+1/2'
'-x+1/2,y+1/2,z+1/2'
'-y+3/4,-x+3/4,-z+1/4'
'y+3/4,x+3/4,z+1/4'
'-x,y+1/2,-z'
'x,-y+1/2,z'
'y+3/4,x+1/4,-z+3/4'
'-y+3/4,-x+1/4,z+3/4'
loop_
_atom_site_label
_atom_site_type_symbol
_atom_site_fract_x
_atom_site_fract_y
_atom_site_fract_z
Na1 Na 0.0000 0.2500 0.3750
Ho1 Ho 0.0000 0.2500 0.8750
O1 O 0.0000 0.2500 0.0965
# **Total energy**: -108.35 eV/cell
# **Crystal system**: tetragonal

---

Entry 3:
# Cd2GaAgSe4 | Materials Project | GGA-PBE | optimized geometry
data_Cd2GaAgSe4
_chemical_formula_sum 'Cd4 Ga2 Ag2 Se8'
_space_group_name_H-M_alt 'C 1 m 1'
_space_group_IT_number 8
_space_group_name_Hall 'C -2y'
_cell_length_a 15.7232
_cell_length_b 4.2479
_cell_length_c 7.5098
_cell_angle_alpha 90.00
_cell_angle_beta 116.71
_cell_angle_gamma 90.00
loop_
_atom_site_label
_atom_site_type_symbol
_atom_site_fract_x
_atom_site_fract_y
_atom_site_fract_z
Cd1 Cd 0.0000 0.0000 0.0000
Cd2 Cd 0.0040 0.5000 0.5216
Ga1 Ga 0.2494 0.0000 0.9431
Ag1 Ag 0.2482 0.5000 0.4229
Se1 Se 0.1892 0.0000 0.1889
Se2 Se 0.1997 0.5000 0.7267
Se3 Se 0.4277 0.0000 0.1128
Se4 Se 0.4361 0.5000 0.6139
# **Crystal system**: monoclinic
# **Size of the total moment**: 0.0 μB/f.u.
# **Relative energy among the computed polymorphs**: 0 meV/atom

---

> Number 1 is which compound?

TbAsO4